An optimized crystal structure of Sr2Mg, computed with r2SCAN.

Summary:
E ... -11.457 eV per atom
Crystal system ... monoclinic
Size of the total moment ... 0.087 μB per formula unit
Formation energy from the elements ... 30 meV/atom

Geometry as CIF:
```
data_Sr2Mg
_chemical_formula_sum 'Sr8 Mg4'
_cell_length_a 14.306
_cell_length_b 4.014
_cell_length_c 9.659
_cell_angle_alpha 90.00
_cell_angle_beta 110.92
_cell_angle_gamma 90.00
_space_group_name_H-M_alt 'C 1 2/m 1'
_space_group_IT_number 12
_space_group_name_Hall '-C 2y'
loop_
_atom_site_label
_atom_site_type_symbol
_atom_site_fract_x
_atom_site_fract_y
_atom_site_fract_z
Sr1 Sr 0.033 0.000 0.213
Sr2 Sr 0.168 0.500 0.631
Mg1 Mg 0.178 0.500 0.037
```